This record from the Materials Project describes an optimized crystal structure of LaGe3Ru. The functional is PBE.

As for the space group: I4mm, No. 107. The formation energy is -0.63 eV/atom.

a = 5.9934 Å, b = 5.9934 Å, c = 5.9934 Å
α = 136.37°, β = 136.37°, γ = 63.40°
Last column: nearest neighbours and their distance in Å.
Fractional positions:
La 0.9999 0.9999 0.0000  12 Ge 3.24-3.46, 5 Ru 3.49-3.54
Ge 0.4236 0.4236 0.0000  1 Ru 2.39
Ge 0.2597 0.7597 0.5000  2 Ru 2.46
Ge 0.7597 0.2597 0.5000  2 Ru 2.46
Ru 0.6580 0.6580 0.0000  5 Ge 2.39-2.46